[1]
A relaxed TaCrB4 crystal. Source: the Materials Project, functional PBE.

Unit cell a=3.0688 b=3.0688 c=6.2078 alpha=90.00 beta=90.00 gamma=120.00
Positions (direct):
Ta (0.0000, 0.0000, 0.0000)
Cr (0.0000, 0.0000, 0.5000)
B (0.3333, 0.6667, 0.2666)
B (0.3333, 0.6667, 0.7334)
B (0.6667, 0.3333, 0.2666)
B (0.6667, 0.3333, 0.7334)

SG = P6/mmm (191)
DFT total energy = -8.548 eV per atom

=====

[2]
A relaxed Tm4CoSn8 crystal. Source: the Materials Project, functional PBE.

Unit cell a=4.4037 b=4.4109 c=16.6051 alpha=90.00 beta=90.00 gamma=90.00
Positions (direct):
Tm (0.0000, 0.0000, 0.0000)
Tm (0.0000, 0.5000, 0.1992)
Tm (0.5000, 0.0000, 0.4952)
Tm (0.5000, 0.5000, 0.7018)
Co (0.0000, 0.0000, 0.7901)
Sn (0.0000, 0.0000, 0.3501)
Sn (0.0000, 0.0000, 0.6432)
Sn (0.0000, 0.5000, 0.5244)
Sn (0.0000, 0.5000, 0.8596)
Sn (0.5000, 0.0000, 0.1624)
Sn (0.5000, 0.0000, 0.8618)
Sn (0.5000, 0.5000, 0.0361)
Sn (0.5000, 0.5000, 0.3456)

SG = Pmm2 (25)
DFT total energy = -4.864 eV per atom

=====

[3]
A relaxed CeNiGe2 crystal. Source: the Materials Project, functional PBE.

Unit cell a=4.2235 b=16.6112 c=4.2261 alpha=90.00 beta=90.00 gamma=90.00
Positions (direct):
Ce (0.0000, 0.1082, 0.2500)
Ce (0.0000, 0.8918, 0.7500)
Ce (0.5000, 0.3918, 0.7500)
Ce (0.5000, 0.6082, 0.2500)
Ni (0.0000, 0.3187, 0.2500)
Ni (0.0000, 0.6813, 0.7500)
Ni (0.5000, 0.1813, 0.7500)
Ni (0.5000, 0.8187, 0.2500)
Ge (0.0000, 0.2498, 0.7500)
Ge (0.0000, 0.4581, 0.2500)
Ge (0.0000, 0.5419, 0.7500)
Ge (0.0000, 0.7502, 0.2500)
Ge (0.5000, 0.0419, 0.7500)
Ge (0.5000, 0.2502, 0.2500)
Ge (0.5000, 0.7498, 0.7500)
Ge (0.5000, 0.9581, 0.2500)

SG = Cmcm (63)
DFT total energy = -5.966 eV per atom

=====

[4]
A relaxed SrSiNi crystal. Source: the Materials Project, functional PBE.

Unit cell a=3.9850 b=3.9850 c=4.7560 alpha=90.00 beta=90.00 gamma=120.00
Positions (direct):
Sr (0.0000, 0.0000, 0.0000)
Si (0.3333, 0.6667, 0.5000)
Ni (0.6667, 0.3333, 0.5000)

SG = P-6m2 (187)
DFT total energy = -4.718 eV per atom

=====

[5]
A relaxed Ag2S crystal. Source: the Materials Project, functional PBE.

Unit cell a=4.8189 b=6.9689 c=7.5773 alpha=90.00 beta=90.00 gamma=90.00
Positions (direct):
Ag (0.0000, 0.0000, 0.0000)
Ag (0.0000, 0.0000, 0.5000)
Ag (0.0000, 0.3799, 0.2500)
Ag (0.0000, 0.6201, 0.7500)
Ag (0.5000, 0.1201, 0.7500)
Ag (0.5000, 0.5000, 0.0000)
Ag (0.5000, 0.5000, 0.5000)
Ag (0.5000, 0.8799, 0.2500)
S (0.0000, 0.2203, 0.7500)
S (0.0000, 0.7797, 0.2500)
S (0.5000, 0.2797, 0.2500)
S (0.5000, 0.7203, 0.7500)

Total energy after the MP2020 corrections = -3.4825 eV per atom
SG = Cmcm (63)
DFT total energy = -3.315 eV per atom

=====

[6]
A relaxed Gd4Ga16Co3 crystal. Source: the Materials Project, functional PBE.

Unit cell a=6.0438 b=6.0438 c=11.1311 alpha=90.00 beta=90.00 gamma=90.00
Positions (direct):
Gd (0.0000, 0.5000, 0.1939)
Gd (0.0000, 0.5000, 0.8061)
Gd (0.5000, 0.0000, 0.1939)
Gd (0.5000, 0.0000, 0.8061)
Ga (0.0000, 0.0000, 0.1967)
Ga (0.0000, 0.0000, 0.8033)
Ga (0.2193, 0.2193, 0.0000)
Ga (0.2193, 0.7807, 0.0000)
Ga (0.2497, 0.2497, 0.3844)
Ga (0.2497, 0.2497, 0.6156)
Ga (0.2497, 0.7503, 0.3844)
Ga (0.2497, 0.7503, 0.6156)
Ga (0.5000, 0.5000, 0.2190)
Ga (0.5000, 0.5000, 0.7810)
Ga (0.7503, 0.2497, 0.3844)
Ga (0.7503, 0.2497, 0.6156)
Ga (0.7503, 0.7503, 0.3844)
Ga (0.7503, 0.7503, 0.6156)
Ga (0.7807, 0.2193, 0.0000)
Ga (0.7807, 0.7807, 0.0000)
Co (0.0000, 0.5000, 0.5000)
Co (0.5000, 0.0000, 0.5000)
Co (0.5000, 0.5000, 0.0000)

SG = P4/mmm (123)
DFT total energy = -5.994 eV per atom

=====

[7]
A relaxed GdCo2B2 crystal. Source: the Materials Project, functional PBE.

Unit cell a=3.5563 b=3.5563 c=9.5517 alpha=90.00 beta=90.00 gamma=90.00
Positions (direct):
Gd (0.0000, 0.0000, 0.0000)
Gd (0.5000, 0.5000, 0.5000)
Co (0.0000, 0.5000, 0.2500)
Co (0.0000, 0.5000, 0.7500)
Co (0.5000, 0.0000, 0.2500)
Co (0.5000, 0.0000, 0.7500)
B (0.0000, 0.0000, 0.3448)
B (0.0000, 0.0000, 0.6552)
B (0.5000, 0.5000, 0.1552)
B (0.5000, 0.5000, 0.8448)

SG = I4/mmm (139)
DFT total energy = -8.869 eV per atom

=====

[8]
A relaxed La2Al7Ni crystal. Source: the Materials Project, functional PBE.

Unit cell a=11.5740 b=11.5740 c=11.5740 alpha=149.26 beta=149.22 gamma=44.06
Positions (direct):
La (0.0000, 0.0000, 0.0000)
La (0.2494, 0.7494, 0.5000)
La (0.4968, 0.4968, 0.0000)
La (0.7477, 0.2477, 0.5000)
Al (0.0425, 0.5425, 0.5000)
Al (0.1010, 0.1318, 0.4852)
Al (0.1010, 0.6158, 0.9692)
Al (0.1857, 0.1857, 0.0000)
Al (0.3042, 0.3042, 0.0000)
Al (0.3829, 0.3938, 0.5289)
Al (0.3829, 0.8540, 0.9890)
Al (0.4346, 0.9346, 0.5000)
Al (0.5533, 0.0533, 0.5000)
Al (0.6466, 0.1318, 0.0308)
Al (0.6466, 0.6158, 0.5148)
Al (0.7920, 0.7920, 0.0000)
Al (0.8649, 0.3938, 0.0110)
Al (0.8649, 0.8540, 0.4711)
Ni (0.6820, 0.6820, 0.0000)
Ni (0.9328, 0.4328, 0.5000)

SG = Imm2 (44)
DFT total energy = -4.689 eV per atom

=====

[9]
A relaxed TlCuO2 crystal. Source: the Materials Project, functional PBE.

Unit cell a=3.5370 b=3.5370 c=11.7717 alpha=90.00 beta=90.00 gamma=120.00
Positions (direct):
Tl (0.0000, 0.0000, 0.0000)
Tl (0.0000, 0.0000, 0.5000)
Cu (0.3333, 0.6667, 0.2500)
Cu (0.6667, 0.3333, 0.7500)
O (0.3333, 0.6667, 0.0957)
O (0.3333, 0.6667, 0.4043)
O (0.6667, 0.3333, 0.5957)
O (0.6667, 0.3333, 0.9043)

Total energy after the MP2020 corrections = -5.0191 eV per atom
Polymorph energy (0 for the lowest one) = 20 meV/atom
SG = P6_3/mmc (194)
DFT total energy = -4.676 eV per atom

=====

[10]
A relaxed ErCrB4 crystal. Source: the Materials Project, functional PBE.

Unit cell a=5.8890 b=11.3788 c=3.4109 alpha=90.00 beta=90.00 gamma=90.00
Positions (direct):
Er (0.1248, 0.1507, 0.0000)
Er (0.3752, 0.6507, 0.0000)
Er (0.6248, 0.3493, 0.0000)
Er (0.8752, 0.8493, 0.0000)
Cr (0.1246, 0.4188, 0.0000)
Cr (0.3754, 0.9188, 0.0000)
Cr (0.6246, 0.0812, 0.0000)
Cr (0.8754, 0.5812, 0.0000)
B (0.0248, 0.6919, 0.5000)
B (0.1136, 0.5470, 0.5000)
B (0.1367, 0.9675, 0.5000)
B (0.2184, 0.8156, 0.5000)
B (0.2816, 0.3156, 0.5000)
B (0.3633, 0.4675, 0.5000)
B (0.3864, 0.0470, 0.5000)
B (0.4752, 0.1919, 0.5000)
B (0.5248, 0.8081, 0.5000)
B (0.6136, 0.9530, 0.5000)
B (0.6367, 0.5325, 0.5000)
B (0.7184, 0.6844, 0.5000)
B (0.7816, 0.1844, 0.5000)
B (0.8633, 0.0325, 0.5000)
B (0.8864, 0.4530, 0.5000)
B (0.9752, 0.3081, 0.5000)

SG = Pbam (55)
DFT total energy = -7.506 eV per atom

=====

[11]
A relaxed BaLiB3S6 crystal. Source: the Materials Project, functional PBE.

Unit cell a=8.8595 b=8.8595 c=8.4297 alpha=113.75 beta=113.75 gamma=60.51
Positions (direct):
Ba (0.1220, 0.8780, 0.5000)
Ba (0.8780, 0.1220, 0.0000)
Li (0.5555, 0.7603, 0.9562)
Li (0.7603, 0.5555, 0.4562)
B (0.0143, 0.6453, 0.0480)
B (0.2386, 0.2433, 0.9744)
B (0.2433, 0.2386, 0.4744)
B (0.4164, 0.5029, 0.0720)
B (0.5029, 0.4164, 0.5720)
B (0.6453, 0.0143, 0.5480)
S (0.0141, 0.4210, 0.9650)
S (0.0217, 0.2527, 0.4303)
S (0.2039, 0.6985, 0.0864)
S (0.2527, 0.0217, 0.9303)
S (0.2726, 0.4460, 0.5308)
S (0.4210, 0.0141, 0.4650)
S (0.4460, 0.2726, 0.0308)
S (0.5377, 0.6113, 0.6103)
S (0.6113, 0.5377, 0.1103)
S (0.6985, 0.2039, 0.5864)
S (0.8226, 0.8383, 0.1054)
S (0.8383, 0.8226, 0.6054)

Total energy after the MP2020 corrections = -5.6248 eV per atom
SG = Cc (9)
DFT total energy = -5.350 eV per atom

=====

[12]
A relaxed UZn20Co2 crystal. Source: the Materials Project, functional PBE.

Unit cell a=9.9407 b=9.9407 c=9.9407 alpha=60.00 beta=60.00 gamma=60.00
Positions (direct):
U (0.1250, 0.1250, 0.1250)
U (0.8750, 0.8750, 0.8750)
Zn (0.0000, 0.0000, 0.0000)
Zn (0.0000, 0.0000, 0.5000)
Zn (0.0000, 0.5000, 0.0000)
Zn (0.0561, 0.3252, 0.3252)
Zn (0.0561, 0.3252, 0.7936)
Zn (0.0561, 0.7936, 0.3252)
Zn (0.2064, 0.6748, 0.6748)
Zn (0.2064, 0.6748, 0.9439)
Zn (0.2064, 0.9439, 0.6748)
Zn (0.2387, 0.2387, 0.5113)
Zn (0.2387, 0.5113, 0.2387)
Zn (0.2387, 0.5113, 0.5113)
Zn (0.3252, 0.0561, 0.3252)
Zn (0.3252, 0.0561, 0.7936)
Zn (0.3252, 0.3252, 0.0561)
Zn (0.3252, 0.3252, 0.7936)
Zn (0.3252, 0.7936, 0.0561)
Zn (0.3252, 0.7936, 0.3252)
Zn (0.4887, 0.4887, 0.7613)
Zn (0.4887, 0.7613, 0.4887)
Zn (0.4887, 0.7613, 0.7613)
Zn (0.5000, 0.0000, 0.0000)
Zn (0.5113, 0.2387, 0.2387)
Zn (0.5113, 0.2387, 0.5113)
Zn (0.5113, 0.5113, 0.2387)
Zn (0.6748, 0.2064, 0.6748)
Zn (0.6748, 0.2064, 0.9439)
Zn (0.6748, 0.6748, 0.2064)
Zn (0.6748, 0.6748, 0.9439)
Zn (0.6748, 0.9439, 0.2064)
Zn (0.6748, 0.9439, 0.6748)
Zn (0.7613, 0.4887, 0.4887)
Zn (0.7613, 0.4887, 0.7613)
Zn (0.7613, 0.7613, 0.4887)
Zn (0.7936, 0.0561, 0.3252)
Zn (0.7936, 0.3252, 0.0561)
Zn (0.7936, 0.3252, 0.3252)
Zn (0.9439, 0.2064, 0.6748)
Zn (0.9439, 0.6748, 0.2064)
Zn (0.9439, 0.6748, 0.6748)
Co (0.0000, 0.5000, 0.5000)
Co (0.5000, 0.0000, 0.5000)
Co (0.5000, 0.5000, 0.0000)
Co (0.5000, 0.5000, 0.5000)

SG = Fd-3m (227)
DFT total energy = -2.301 eV per atom